The following is a PBE-GGA calculation of a geometry-optimized Na6TiZn3P4S2O24 structure, from the Materials Project database.

Geometry as extended XYZ:
```
120
Lattice="8.9553 0.0000 0.0000 -4.4771 7.7668 0.0000 -0.0514 -0.1052 21.8964" Properties=species:S:1:pos:R:3 pbc="T T T"
Na 0.0000 0.0000 0.0000
Na -2.9131 5.0160 5.4043
Na -1.2077 2.0930 11.1111
Na -4.0375 7.5802 7.3891
Na -1.1420 2.5975 18.3695
Na -1.7648 7.4591 18.3172
Na 0.0106 4.5986 7.3919
Na -0.0545 5.0613 14.6277
Na 1.6222 2.2636 20.1497
Na 1.7151 2.4069 9.3244
Na 0.3457 5.0192 0.0813
Na 1.4771 7.5305 12.7762
Na 1.4707 7.6383 1.8501
Na 3.2268 4.6345 18.3070
Na 4.4488 2.6806 7.3348
Na 7.3168 2.4790 3.6569
Na 4.5767 7.2898 14.6330
Na 6.0630 4.8440 16.4307
Ti 1.6811 2.3384 1.6577
Ti 1.6306 7.4531 16.0790
Ti 1.7232 7.5105 5.0729
Zn -2.7726 4.9964 2.3033
Zn -2.7426 4.9686 19.9564
Zn 1.5780 2.3212 16.6922
Zn 1.6367 2.4016 5.8004
Zn 1.7154 2.3204 12.7232
Zn 1.6690 7.4802 9.5424
Zn 1.5710 7.5467 20.5397
Zn 6.0393 4.8890 8.9277
Zn 6.0462 4.8684 13.2729
P -1.4643 2.6538 0.1589
P -1.1011 2.2962 14.7109
P 0.3435 0.0542 3.8193
P -1.4978 7.3379 0.1268
P 2.9852 0.0133 14.7561
P 0.3428 4.6952 3.7969
P 0.3169 5.1961 18.3777
P 4.2936 2.3468 3.8530
P 2.9515 4.6264 14.7706
P 2.9261 5.2639 7.4042
P 7.4262 2.0387 7.4231
P 4.2348 7.4746 18.3831
S -4.1753 7.2620 11.0532
S -0.1804 4.9361 11.0466
S -0.9484 7.5342 7.4000
S 4.7744 1.9820 18.3402
S 4.7438 2.5949 11.0215
S 3.4684 4.9108 0.1161
O -3.6130 6.4219 3.6001
O -1.9778 3.5500 14.5578
O -3.6789 6.6129 9.7996
O -1.6858 3.4095 20.7632
O -0.2370 1.9652 13.4718
O 0.6325 1.0434 2.6024
O 0.8743 0.6619 5.1132
O -0.2584 2.5533 15.9826
O 0.0064 2.1860 7.3095
O 0.6770 0.9437 18.2590
O 0.8981 0.8658 11.0987
O 0.1380 2.5444 0.3085
O -1.1710 4.8399 3.6283
O -2.0734 6.3446 14.6161
O -2.2556 6.7772 20.6996
O -1.0278 4.7825 9.8069
O -1.2365 5.0998 18.3506
O -1.7924 6.2951 7.4529
O -1.7757 6.3834 1.2678
O -1.0235 5.0521 12.2644
O 2.3445 0.5867 16.0430
O 0.5372 3.8709 5.0740
O 0.6351 3.6846 11.1111
O 2.3051 0.9912 0.3778
O 2.6322 0.9522 7.2942
O 0.9545 3.7942 18.2519
O 0.9869 3.9477 2.5598
O 2.7860 0.8912 13.5362
O -0.0600 7.3745 6.2082
O 0.6751 6.1447 10.9742
O 0.6938 6.1203 17.1459
O -0.0186 7.3575 21.8929
O 0.8801 5.8344 19.6561
O 4.3220 -0.0308 8.6234
O 3.2481 2.1918 2.6606
O 0.0735 7.5846 14.9290
O 2.1877 4.0445 13.5827
O 1.0475 6.0957 3.8864
O 2.3553 3.8414 7.2669
O 3.2973 2.1537 18.2195
O 2.5690 3.7084 0.2540
O 3.2716 2.4622 11.1577
O 3.5242 2.5097 5.1508
O 2.7454 3.8524 16.0694
O 2.2544 5.8669 8.6271
O 4.9890 1.1993 19.5648
O 5.1690 1.0281 3.8655
O 2.2663 6.0914 14.9043
O 2.5701 6.1102 0.0623
O 5.3552 1.2840 17.1629
O 2.5584 6.2217 6.1637
O 5.4124 1.2554 10.9683
O 4.1679 4.6336 20.7332
O 4.9893 3.3279 9.7321
O 5.2419 3.5277 3.6394
O 4.3603 5.0968 1.2622
O 5.3715 3.2951 12.1616
O 4.4476 4.9383 14.5990
O 5.4312 3.3259 18.3948
O 4.4812 5.2368 7.4165
O 6.8062 1.2676 6.1715
O 3.2472 7.3776 17.1428
O 3.2870 7.4217 11.0269
O 6.9748 1.0007 14.9168
O 6.9813 1.1966 0.0528
O 7.6966 0.0577 3.8572
O 7.8671 -0.0903 19.6514
O 7.1637 1.2254 8.6967
O 5.0433 6.1524 18.3623
O 6.7403 3.4379 7.4196
O 6.9034 3.3013 1.3998
O 5.1145 6.4754 12.2604
```

Calculated values
Total magnetic moment (μB per cell): 0.0
Energy of formation from the pure elements (eV/atom): -2.42